Material: Zr5GaPb3
Method: DFT, GGA-PBE
State: relaxed

Properties
Density, g/cm³: 9.39
DFT formation energy, eV per atom: -0.41
Symmetry: P6_3/mcm

Cell: 8.8385 8.8385 5.9955 Å, 90.00 90.00 120.00°
Fractional positions:
Pb (0.0000, 0.3874, 0.2500)
Zr (0.6667, 0.3333, 0.0000)
Pb (0.6126, 0.6126, 0.2500)
Pb (0.3874, 0.0000, 0.2500)
Zr (0.7377, 0.7377, 0.7500)
Zr (0.2623, 0.2623, 0.2500)
Ga (0.0000, 0.0000, 0.0000)
Pb (0.0000, 0.6126, 0.7500)
Zr (0.6667, 0.3333, 0.5000)
Zr (0.0000, 0.2623, 0.7500)
Ga (0.0000, 0.0000, 0.5000)
Zr (0.3333, 0.6667, 0.0000)
Pb (0.3874, 0.3874, 0.7500)
Zr (0.3333, 0.6667, 0.5000)
Zr (0.0000, 0.7377, 0.2500)
Zr (0.7377, 0.0000, 0.2500)
Zr (0.2623, 0.0000, 0.7500)
Pb (0.6126, 0.0000, 0.7500)


Material: Cs2ZnH12Se2O14
Method: DFT, GGA-PBE
State: relaxed

Properties
Density, g/cm³: 3.01
Total moment, μB per formula unit: 0.001
DFT formation energy, eV per atom: -1.43
Symmetry: P2_1/c

Cell: 13.2766 6.5936 9.4875 Å, 74.60 90.00 90.00°
Fractional positions:
Se (0.6450, 0.7437, 0.1030)
H (0.9065, 0.3142, 0.8008)
H (0.1293, 0.9046, 0.2315)
H (0.5623, 0.6695, 0.4063)
H (0.8707, 0.0954, 0.7685)
H (0.6293, 0.0954, 0.2685)
H (0.0935, 0.6858, 0.1992)
O (0.7552, 0.6001, 0.5801)
O (0.0755, 0.4008, 0.2575)
H (0.5969, 0.9266, 0.7706)
H (0.4377, 0.3305, 0.5937)
H (0.8618, 0.6911, 0.0295)
H (0.3224, 0.9995, 0.3557)
H (0.1382, 0.3089, 0.9705)
Se (0.3550, 0.2563, 0.8970)
O (0.9342, 0.7112, 0.9996)
H (0.1776, 0.9995, 0.8557)
O (0.9245, 0.5992, 0.7425)
O (0.6853, 0.9666, 0.1402)
Cs (0.1470, 0.6504, 0.6340)
H (0.6382, 0.6911, 0.5295)
Zn (0.0000, 0.0000, 0.0000)
O (0.5755, 0.5992, 0.2425)
H (0.4031, 0.0734, 0.2294)
O (0.9265, 0.7967, 0.4524)
O (0.6061, 0.0183, 0.6696)
H (0.8224, 0.0005, 0.1443)
O (0.4245, 0.4008, 0.7575)
O (0.6102, 0.1641, 0.3462)
O (0.1061, 0.9817, 0.8304)
H (0.5935, 0.3142, 0.3008)
H (0.4065, 0.6858, 0.6992)
O (0.2448, 0.3999, 0.4199)
O (0.1853, 0.0334, 0.3598)
H (0.3618, 0.3089, 0.4705)
O (0.2552, 0.3999, 0.9199)
O (0.3898, 0.8359, 0.6538)
H (0.9377, 0.6695, 0.9063)
O (0.4342, 0.2888, 0.5004)
O (0.1102, 0.8359, 0.1538)
O (0.5735, 0.7967, 0.9524)
O (0.5658, 0.7112, 0.4996)
O (0.8898, 0.1641, 0.8462)
Cs (0.8530, 0.3496, 0.3660)
Se (0.1450, 0.2563, 0.3970)
Cs (0.6470, 0.3496, 0.8660)
Zn (0.5000, 0.0000, 0.5000)
O (0.7448, 0.6001, 0.0801)
O (0.0735, 0.2033, 0.5476)
H (0.6776, 0.0005, 0.6443)
O (0.4265, 0.2033, 0.0476)
O (0.3939, 0.9817, 0.3304)
Cs (0.3530, 0.6504, 0.1340)
O (0.8939, 0.0183, 0.1696)
O (0.3147, 0.0334, 0.8598)
O (0.0658, 0.2888, 0.0004)
O (0.8147, 0.9666, 0.6402)
H (0.3707, 0.9046, 0.7315)
H (0.0969, 0.0734, 0.7294)
Se (0.8550, 0.7437, 0.6030)
H (0.0623, 0.3305, 0.0937)
H (0.9031, 0.9266, 0.2706)


Material: Rb2MgFe2S4
Method: DFT, GGA-PBE
State: relaxed

Properties
Density, g/cm³: 3.49
Energy relative to the lowest polymorph listed for this composition, eV/atom: 0.0316
Total moment, μB per formula unit: 0.000
DFT formation energy, eV per atom: -0.89
Symmetry: C2

Cell: 5.3459 6.8744 6.8744 Å, 116.54 102.19 102.19°
Fractional positions:
Mg (0.2500, 0.7492, 0.2508)
Rb (0.2500, 0.3555, 0.6445)
Fe (0.2500, 0.0110, 0.9890)
S (0.9064, 0.7295, 0.9413)
S (0.1035, 0.3052, 0.0781)
S (0.3965, 0.9219, 0.6948)
Rb (0.7500, 0.5887, 0.4113)
Fe (0.7500, 0.0117, 0.9883)
S (0.5936, 0.0587, 0.2705)


Material: LaNdAl4
Method: DFT, GGA-PBE
State: relaxed

Properties
Density, g/cm³: 4.89
DFT formation energy, eV per atom: -0.50
Symmetry: F-43m

Cell: 5.7278 5.7278 5.7278 Å, 60.00 60.00 60.00°
Fractional positions:
Nd (0.0000, 0.0000, 0.0000)
Al (0.1253, 0.6249, 0.6249)
Al (0.6249, 0.1253, 0.6249)
La (0.2500, 0.2500, 0.2500)
Al (0.6249, 0.6249, 0.1253)
Al (0.6249, 0.6249, 0.6249)


Material: PaFe3
Method: DFT, GGA-PBE
State: relaxed

Properties
Density, g/cm³: 11.21
DFT formation energy, eV per atom: -0.01
Symmetry: P6_3/mmc

Cell: 5.3849 5.3849 4.7010 Å, 90.00 90.00 120.00°
Fractional positions:
Fe (0.6884, 0.8442, 0.2500)
Fe (0.3116, 0.1558, 0.7500)
Fe (0.1558, 0.3116, 0.2500)
Fe (0.1558, 0.8442, 0.2500)
Pa (0.3333, 0.6667, 0.7500)
Pa (0.6667, 0.3333, 0.2500)
Fe (0.8442, 0.1558, 0.7500)
Fe (0.8442, 0.6884, 0.7500)


Material: Pr4Fe29Si5
Method: DFT, GGA-PBE
State: relaxed

Properties
Density, g/cm³: 7.29
Total moment, μB per formula unit: 59.830
DFT formation energy, eV per atom: -0.04
Symmetry: P-1

Cell: 6.4698 6.4997 12.9284 Å, 82.25 81.81 82.36°
Fractional positions:
Fe (0.2867, 0.7094, 0.4990)
Fe (0.2848, 0.9994, 0.8575)
Fe (0.2859, 0.7156, 0.9998)
Fe (0.8459, 0.3373, 0.1696)
Si (0.1075, 0.0806, 0.5536)
Fe (0.0006, 0.0001, 0.7498)
Fe (0.0001, 0.2860, 0.8568)
Fe (0.7133, 0.2906, 0.5010)
Fe (0.7152, 0.0006, 0.1425)
Pr (0.3483, 0.3445, 0.6733)
Fe (0.8493, 0.3352, 0.6677)
Fe (0.2823, 0.9999, 0.3591)
Fe (0.3390, 0.3382, 0.9226)
Fe (0.1541, 0.6627, 0.8304)
Fe (0.6603, 0.1542, 0.8302)
Si (0.1000, 0.1000, 0.0500)
Fe (0.0000, 0.5000, 0.0000)
Si (0.8925, 0.9194, 0.4464)
Fe (0.5000, 0.0000, 0.0000)
Fe (0.3411, 0.8393, 0.6706)
Fe (0.9994, 0.9999, 0.2502)
Pr (0.6517, 0.6555, 0.3267)
Fe (0.3397, 0.8458, 0.1698)
Fe (0.6640, 0.6660, 0.5751)
Fe (0.9990, 0.7104, 0.6431)
Fe (0.1507, 0.6648, 0.3323)
Fe (0.3360, 0.3340, 0.4249)
Pr (0.3456, 0.3474, 0.1738)
Fe (0.9999, 0.7140, 0.1432)
Fe (0.7177, 0.0001, 0.6409)
Fe (0.0010, 0.2896, 0.3569)
Si (0.0000, 0.5000, 0.5000)
Fe (0.5000, 0.0000, 0.5000)
Pr (0.6544, 0.6526, 0.8262)
Fe (0.7141, 0.2844, 0.0002)
Fe (0.6610, 0.6618, 0.0774)
Si (0.9000, 0.9000, 0.9500)
Fe (0.6589, 0.1607, 0.3294)


Material: SrLa7Ti4Cu4O22
Method: DFT, GGA-PBE
State: relaxed

Properties
Density, g/cm³: 6.16
Total moment, μB per formula unit: 1.000
DFT formation energy, eV per atom: -3.17
Symmetry: Pm

Cell: 5.6016 5.6717 15.7561 Å, 90.00 90.00 90.09°
Fractional positions:
O (0.7881, 0.2235, 0.4690)
La (0.0104, 0.0398, 0.1211)
Ti (0.9968, 0.5010, 0.4992)
O (0.1913, 0.7874, 0.2311)
O (0.9014, 0.4732, 0.1344)
Cu (0.4978, 0.9997, 0.5004)
Ti (0.5106, 0.0027, 0.9978)
Ti (0.5106, 0.0027, 0.7522)
La (0.0104, 0.0398, 0.6289)
Cu (0.0000, 0.5005, 0.0000)
O (0.2992, 0.2799, 0.7283)
O (0.2745, 0.2983, 0.5179)
La (0.9845, 0.9596, 0.3750)
Ti (0.9968, 0.5010, 0.2508)
O (0.7871, 0.2062, 0.9744)
O (0.7208, 0.7303, 0.7766)
O (0.7208, 0.7303, 0.9734)
O (0.4129, 0.0155, 0.8750)
O (0.1913, 0.7874, 0.5189)
O (0.2992, 0.2799, 0.0217)
O (0.0906, 0.5225, 0.3750)
O (0.9014, 0.4732, 0.6156)
O (0.7187, 0.7085, 0.4696)
O (0.2745, 0.2983, 0.2321)
La (0.9859, 0.9535, 0.8750)
O (0.2278, 0.7912, 0.0183)
O (0.7881, 0.2235, 0.2810)
O (0.5932, 0.9738, 0.1175)
Cu (0.4978, 0.9997, 0.2496)
Sr (0.5002, 0.4703, 0.8750)
La (0.4874, 0.5425, 0.6260)
O (0.5932, 0.9738, 0.6325)
La (0.5154, 0.4515, 0.3750)
O (0.2278, 0.7912, 0.7317)
O (0.7187, 0.7085, 0.2804)
Cu (0.0000, 0.5005, 0.7500)
La (0.4874, 0.5425, 0.1240)
O (0.7871, 0.2062, 0.7756)


Material: Tb2Co3Ge5
Method: DFT, GGA-PBE
State: relaxed

Properties
Density, g/cm³: 8.72
Total moment, μB per formula unit: 0.493
DFT formation energy, eV per atom: -0.59
Symmetry: C2/c

Cell: 8.0963 8.0963 5.7336 Å, 70.29 70.29 93.47°
Fractional positions:
Ge (0.2616, 0.0773, 0.8281)
Ge (0.0773, 0.2616, 0.3281)
Ge (0.2148, 0.7852, 0.2500)
Co (0.2608, 0.5422, 0.1173)
Tb (0.5929, 0.8715, 0.7672)
Ge (0.7742, 0.2258, 0.2500)
Co (0.5422, 0.2608, 0.6173)
Ge (0.7384, 0.9227, 0.1719)
Ge (0.9227, 0.7384, 0.6719)
Co (0.7392, 0.4578, 0.8827)
Ge (0.4924, 0.5076, 0.7500)
Tb (0.4071, 0.1285, 0.2328)
Tb (0.1285, 0.4071, 0.7328)
Ge (0.7852, 0.2148, 0.7500)
Tb (0.8715, 0.5929, 0.2672)
Co (0.0022, 0.9978, 0.2500)
Ge (0.2258, 0.7742, 0.7500)
Co (0.4578, 0.7392, 0.3827)
Ge (0.5076, 0.4924, 0.2500)
Co (0.9978, 0.0022, 0.7500)


Material: CaSbF5
Method: DFT, GGA-PBE
State: relaxed

Properties
Density, g/cm³: 3.34
Energy relative to the lowest polymorph listed for this composition, eV/atom: 0.0714
Total moment, μB per formula unit: 0.000
DFT formation energy, eV per atom: -3.26
Symmetry: P1

Cell: 5.9699 5.9982 8.3887 Å, 97.38 111.82 107.69°
Fractional positions:
F (0.8585, 0.2921, 0.5463)
Ca (0.7213, 0.4692, 0.2488)
F (0.8669, 0.2237, 0.1308)
F (0.1477, 0.7781, 0.8751)
F (0.6227, 0.8755, 0.7425)
F (0.6023, 0.7320, 0.3761)
F (0.4115, 0.2666, 0.6315)
F (0.7431, 0.6803, 0.0401)
F (0.1412, 0.6907, 0.4625)
Sb (0.4985, 0.9951, 0.4998)
F (0.3782, 0.1324, 0.2452)
Ca (0.2822, 0.5296, 0.7496)
F (0.2580, 0.3167, 0.9580)
Sb (0.0082, 0.0015, 0.0018)


Material: Pr4Mg7Ge6
Method: DFT, GGA-PBE
State: relaxed

Properties
Density, g/cm³: 4.89
DFT formation energy, eV per atom: -0.55
Symmetry: C2/m

Cell: 8.6706 8.6706 12.6162 Å, 58.77 58.77 29.77°
Fractional positions:
Pr (0.2664, 0.2664, 0.6132)
Mg (0.9381, 0.9381, 0.3960)
Pr (0.3703, 0.3703, 0.8396)
Mg (0.9605, 0.9605, 0.1386)
Ge (0.1495, 0.1495, 0.9754)
Mg (0.0395, 0.0395, 0.8614)
Ge (0.8505, 0.8505, 0.0246)
Pr (0.7336, 0.7336, 0.3868)
Ge (0.3914, 0.3914, 0.3112)
Ge (0.1201, 0.1201, 0.3487)
Pr (0.6297, 0.6297, 0.1604)
Ge (0.8799, 0.8799, 0.6513)
Mg (0.5000, 0.5000, 0.5000)
Ge (0.6086, 0.6086, 0.6888)
Mg (0.0619, 0.0619, 0.6040)
Mg (0.3104, 0.3104, 0.1538)
Mg (0.6896, 0.6896, 0.8462)


Material: Zr10Sn7
Method: DFT, GGA-PBE
State: relaxed

Properties
Density, g/cm³: 7.42
Total moment, μB per formula unit: 0.001
DFT formation energy, eV per atom: -0.57
Symmetry: P-31m

Cell: 5.9206 8.7202 8.7211 Å, 120.00 90.01 89.99°
Fractional positions:
Sn (0.7447, 0.6154, 0.0000)
Zr (0.5000, 0.6667, 0.3334)
Zr (0.7649, 0.0000, 0.2719)
Zr (0.0000, 0.3333, 0.6667)
Sn (0.2553, 0.0000, 0.3847)
Sn (0.5000, 0.0000, 0.0000)
Zr (0.5000, 0.3333, 0.6666)
Zr (0.2351, 0.7281, 0.0000)
Sn (0.2553, 0.6153, 0.6153)
Sn (0.7447, 0.3847, 0.3847)
Sn (0.7447, 0.0000, 0.6153)
Zr (0.2351, 0.0000, 0.7281)
Zr (0.0000, 0.6667, 0.3333)
Zr (0.7649, 0.2719, 0.0000)
Sn (0.2553, 0.3847, 0.0000)
Zr (0.2351, 0.2719, 0.2719)
Zr (0.7649, 0.7281, 0.7281)


Material: LaIn
Method: DFT, GGA-PBE
State: relaxed

Properties
Density, g/cm³: 6.78
DFT formation energy, eV per atom: -0.50
Symmetry: Pm-3m

Cell: 3.9618 3.9618 3.9618 Å, 90.00 90.00 90.00°
Fractional positions:
In (0.0000, 0.0000, 0.0000)
La (0.5000, 0.5000, 0.5000)


> DFT formation energy of number 1 (Zr5GaPb3)?

-0.41 eV per atom


> density of number 7 (SrLa7Ti4Cu4O22)?

6.16 g/cm³


Repeat the fifth record exactly.
Material: PaFe3
Method: DFT, GGA-PBE
State: relaxed

Properties
Density, g/cm³: 11.21
DFT formation energy, eV per atom: -0.01
Symmetry: P6_3/mmc

Cell: 5.3849 5.3849 4.7010 Å, 90.00 90.00 120.00°
Fractional positions:
Fe (0.6884, 0.8442, 0.2500)
Fe (0.3116, 0.1558, 0.7500)
Fe (0.1558, 0.3116, 0.2500)
Fe (0.1558, 0.8442, 0.2500)
Pa (0.3333, 0.6667, 0.7500)
Pa (0.6667, 0.3333, 0.2500)
Fe (0.8442, 0.1558, 0.7500)
Fe (0.8442, 0.6884, 0.7500)